Computed, not measured: a relaxed TcB2 crystal at the PBE level of DFT.

abc: 2.9028 2.9028 7.4726
angles: 90.00 90.00 120.00
Space group P6_3/mmc (No. 194)
One atom of each set of equivalent atoms:
Tc  0.3333  0.6667  0.2500 x2
B  0.3333  0.6667  0.5478 x4

Computed properties:
The energy of formation comes out at -0.441 eV/atom. For the total energy, the calculation gives -25.04 eV per formula unit.


Computed, not measured: a relaxed Fe2Cu3Sn6Se16 crystal at the PBE level of DFT.

abc: 7.677 7.724 10.882
angles: 90.00 90.60 90.00
Space group Pm (No. 6)
One atom of each set of equivalent atoms:
Fe  0.000  0.000  0.000 x1
Fe  0.499  0.500  0.497 x1
Cu  0.263  0.500  0.877 x1
Cu  0.743  0.500  0.120 x1
Cu  0.762  0.000  0.380 x1
Sn  0.010  0.500  0.502 x1
Sn  0.253  0.249  0.252 x2
Sn  0.502  0.000  0.993 x1
Sn  0.750  0.241  0.750 x2
Se  0.000  0.500  0.249 x1
Se  0.002  0.000  0.228 x1
Se  0.002  0.500  0.752 x1
Se  0.003  0.000  0.779 x1
Se  0.228  0.227  0.000 x2
Se  0.282  0.275  0.501 x2
Se  0.490  0.000  0.743 x1
Se  0.504  0.500  0.727 x1
Se  0.505  0.500  0.270 x1
Se  0.507  0.000  0.249 x1
Se  0.733  0.271  0.499 x2
Se  0.775  0.228  0.001 x2

Computed properties:
Its spin magnetization is 1.00 μB per cell. The energy of formation comes out at -0.581 eV/atom. For the total energy, the calculation gives -117.37 eV per formula unit.